<i>
A plane-wave DFT calculation with PBE-GGA was carried out for Sm2Ge2O7 after structural relaxation.

Computed properties:
* calculated volume: 11.99 A^3/atom
* total magnetic moment: 0.00 Bohr magnetons per cell

Cell: 7.198 7.198 7.198 Å, 60.00 60.00 60.00°
Fractional coordinates of all 22 atoms:
1 Sm 0.000 0.000 0.000
2 Sm 0.000 0.000 0.500
3 Sm 0.000 0.500 0.000
4 Sm 0.500 0.000 0.000
5 Ge 0.000 0.500 0.500
6 Ge 0.500 0.000 0.500
7 Ge 0.500 0.500 0.000
8 Ge 0.500 0.500 0.500
9 O 0.125 0.125 0.125
10 O 0.174 0.174 0.576
11 O 0.174 0.576 0.174
12 O 0.174 0.576 0.576
13 O 0.424 0.424 0.826
14 O 0.424 0.826 0.424
15 O 0.424 0.826 0.826
16 O 0.576 0.174 0.174
17 O 0.576 0.174 0.576
18 O 0.576 0.576 0.174
19 O 0.826 0.424 0.424
20 O 0.826 0.424 0.826
21 O 0.826 0.826 0.424
22 O 0.875 0.875 0.875

<ii>
A plane-wave DFT calculation with PBE-GGA was carried out for Sm2Ge2O7 after structural relaxation.

Computed properties:
* calculated volume: 13.76 A^3/atom

Cell: 6.937 6.957 12.586 Å, 93.81 91.59 91.82°
Fractional coordinates of all 44 atoms:
1 Sm 0.052 0.329 0.114
2 Sm 0.116 0.082 0.358
3 Sm 0.320 0.832 0.113
4 Sm 0.367 0.237 0.629
5 Sm 0.633 0.763 0.371
6 Sm 0.680 0.168 0.887
7 Sm 0.884 0.918 0.642
8 Sm 0.948 0.671 0.886
9 Ge 0.145 0.616 0.381
10 Ge 0.164 0.148 0.884
11 Ge 0.381 0.736 0.599
12 Ge 0.487 0.670 0.833
13 Ge 0.513 0.330 0.167
14 Ge 0.619 0.264 0.401
15 Ge 0.836 0.852 0.116
16 Ge 0.855 0.384 0.619
17 O 0.004 0.666 0.081
18 O 0.008 0.015 0.184
19 O 0.036 0.226 0.574
20 O 0.069 0.403 0.308
21 O 0.224 0.922 0.623
22 O 0.247 0.099 0.012
23 O 0.293 0.719 0.916
24 O 0.293 0.784 0.314
25 O 0.298 0.560 0.493
26 O 0.348 0.493 0.121
27 O 0.361 0.212 0.810
28 O 0.382 0.134 0.217
29 O 0.392 0.565 0.700
30 O 0.406 0.161 0.448
31 O 0.594 0.839 0.552
32 O 0.608 0.435 0.300
33 O 0.618 0.866 0.783
34 O 0.639 0.788 0.190
35 O 0.652 0.507 0.879
36 O 0.702 0.440 0.507
37 O 0.707 0.216 0.686
38 O 0.707 0.281 0.084
39 O 0.753 0.901 0.988
40 O 0.776 0.078 0.377
41 O 0.931 0.597 0.692
42 O 0.964 0.774 0.426
43 O 0.992 0.985 0.816
44 O 0.996 0.334 0.919

<ii> wins, 32 meV per atom ahead of the next structure.

<i>
A plane-wave DFT calculation with PBE-GGA was carried out for Sm2Ge2O7 after structural relaxation.

Computed properties:
* calculated volume: 15.20 A^3/atom

Cell: 5.920 5.920 5.048 Å, 97.22 97.22 105.02°
Fractional coordinates of all 11 atoms:
1 Sm 0.196 0.804 0.000
2 Sm 0.804 0.196 0.000
3 Ge 0.273 0.273 0.588
4 Ge 0.727 0.727 0.412
5 O 0.105 0.105 0.279
6 O 0.105 0.415 0.783
7 O 0.415 0.105 0.783
8 O 0.500 0.500 0.500
9 O 0.585 0.895 0.217
10 O 0.895 0.585 0.217
11 O 0.895 0.895 0.721

<ii>
A plane-wave DFT calculation with PBE-GGA was carried out for Sm2Ge2O7 after structural relaxation.

Computed properties:
* calculated volume: 14.13 A^3/atom
* maximum piezoelectric response: 0.1 C/m2
* total magnetic moment: 0.00 Bohr magnetons per cell

Cell: 6.987 6.987 12.734 Å, 90.00 90.00 90.00°
Fractional coordinates of all 44 atoms:
1 Sm 0.123 0.350 0.115
2 Sm 0.150 0.623 0.365
3 Sm 0.350 0.123 0.885
4 Sm 0.377 0.850 0.135
5 Sm 0.623 0.150 0.635
6 Sm 0.650 0.877 0.385
7 Sm 0.850 0.377 0.865
8 Sm 0.877 0.650 0.615
9 Ge 0.098 0.154 0.629
10 Ge 0.154 0.098 0.371
11 Ge 0.346 0.598 0.879
12 Ge 0.402 0.654 0.621
13 Ge 0.598 0.346 0.121
14 Ge 0.654 0.402 0.379
15 Ge 0.846 0.902 0.871
16 Ge 0.902 0.846 0.129
17 O 0.027 0.076 0.875
18 O 0.062 0.663 0.178
19 O 0.076 0.027 0.125
20 O 0.143 0.309 0.296
21 O 0.163 0.438 0.928
22 O 0.191 0.643 0.546
23 O 0.197 0.197 0.500
24 O 0.303 0.697 0.750
25 O 0.309 0.143 0.704
26 O 0.337 0.938 0.322
27 O 0.357 0.809 0.954
28 O 0.424 0.527 0.125
29 O 0.438 0.163 0.072
30 O 0.473 0.576 0.375
31 O 0.527 0.424 0.875
32 O 0.562 0.837 0.572
33 O 0.576 0.473 0.625
34 O 0.643 0.191 0.454
35 O 0.663 0.062 0.822
36 O 0.691 0.857 0.204
37 O 0.697 0.303 0.250
38 O 0.803 0.803 0.000
39 O 0.809 0.357 0.046
40 O 0.837 0.562 0.428
41 O 0.857 0.691 0.796
42 O 0.924 0.973 0.625
43 O 0.938 0.337 0.678
44 O 0.973 0.924 0.375

<ii> wins, 11 meV per atom ahead of the next structure.